Computed, not measured: a geometry-optimized EuBe13 structure at the PBE level of DFT.

a b c (Å): 7.4127 7.4127 7.4127
angles (deg): 60.00 60.00 60.00
Closest atoms and distances in Å follow each position.
Sites, in units of the cell vectors:
Be: 0.7872 0.5640 0.2128  10 Be 2.18-2.34
Be: 0.2872 0.0640 0.9360  10 Be 2.18-2.34
Be: 0.5640 0.7872 0.4360  10 Be 2.18-2.34
Be: 0.5640 0.4360 0.2128  10 Be 2.18-2.34
Be: 0.9360 0.7128 0.2872  10 Be 2.18-2.34
Be: 0.0640 0.7128 0.9360  10 Be 2.18-2.34
Be: 0.2128 0.5640 0.4360  10 Be 2.18-2.34
Be: 0.7128 0.0640 0.2872  10 Be 2.18-2.34
Be: 0.7872 0.2128 0.4360  10 Be 2.18-2.34
Eu: 0.2500 0.2500 0.2500  24 Be 3.10
Be: 0.7128 0.9360 0.0640  10 Be 2.18-2.34
Be: 0.7872 0.4360 0.5640  10 Be 2.18-2.34
Be: 0.0640 0.2872 0.7128  10 Be 2.18-2.34
Be: 0.2872 0.7128 0.0640  10 Be 2.18-2.34
Be: 0.9360 0.2872 0.0640  10 Be 2.18-2.34
Be: 0.0640 0.9360 0.2872  10 Be 2.18-2.34
Be: 0.2872 0.9360 0.7128  10 Be 2.18-2.34
Eu: 0.7500 0.7500 0.7500  24 Be 3.10
Be: 0.0000 0.0000 0.0000  12 Be 2.18
Be: 0.5000 0.5000 0.5000  12 Be 2.18
Be: 0.2128 0.4360 0.7872  10 Be 2.18-2.34
Be: 0.5640 0.2128 0.7872  10 Be 2.18-2.34
Be: 0.7128 0.2872 0.9360  10 Be 2.18-2.34
Be: 0.2128 0.7872 0.5640  10 Be 2.18-2.34
Be: 0.4360 0.5640 0.7872  10 Be 2.18-2.34
Be: 0.4360 0.2128 0.5640  10 Be 2.18-2.34
Be: 0.4360 0.7872 0.2128  10 Be 2.18-2.34
Be: 0.9360 0.0640 0.7128  10 Be 2.18-2.34

Values from the calculation:
The value obtained for the uncorrected energy is -120.667 eV/cell.



Computed, not measured: a geometry-optimized Nd4Rh structure at the PBE level of DFT.

a b c (Å): 10.0262 6.4863 7.2910
angles (deg): 89.53 90.00 90.00
Closest atoms and distances in Å follow each position.
Sites, in units of the cell vectors:
Rh: 0.5000 0.4400 0.3825  6 Nd 2.88-2.95
Nd: 0.5000 0.8605 0.5352  2 Rh 2.89-2.95
Nd: 0.0000 0.3520 0.9607  1 Rh 2.90
Nd: 0.0000 0.1558 0.4752  1 Rh 2.94
Nd: 0.6862 0.3378 0.6778  2 Rh 2.92
Nd: 0.6803 0.1751 0.1791  2 Rh 2.91
Nd: 0.1830 0.6670 0.3188  1 Rh 2.89
Nd: 0.8193 0.8409 0.8217  1 Rh 2.90
Nd: 0.8170 0.6670 0.3188  1 Rh 2.89
Rh: 0.5000 0.0763 0.8802  6 Nd 2.89-2.96
Rh: 0.0000 0.5799 0.6162  6 Nd 2.89-2.94
Nd: 0.1807 0.8409 0.8217  1 Rh 2.90
Nd: 0.5000 0.6519 0.0335  2 Rh 2.88-2.96
Nd: 0.3138 0.3378 0.6778  2 Rh 2.92
Nd: 0.3197 0.1751 0.1791  2 Rh 2.91

Values from the calculation:
The value obtained for the relative energy among the computed polymorphs is 0.000 eV/atom. The value obtained for the uncorrected energy is -83.977 eV/cell.



Computed, not measured: a geometry-optimized Ba6CaNb2IrCl2O12 structure at the PBE level of DFT.

a b c (Å): 6.1057 6.1058 15.9191
angles (deg): 80.49 99.51 120.30
Closest atoms and distances in Å follow each position.
Sites, in units of the cell vectors:
O: 0.2302 0.7689 0.2472  1 Nb 1.99, 1 Ca 2.17
O: 0.8132 0.1874 0.7549  1 Nb 1.90
Nb: 0.0620 0.9379 0.1662  6 O 1.99-2.11
Cl: 0.6330 0.3670 0.4445  1 Ca 2.75
O: 0.1601 0.8396 0.9194  1 Ir 2.08, 1 Nb 2.24
Ba: 0.7446 0.2554 0.1989  3 O 2.60-2.67
O: 0.8156 0.6986 0.7650  1 Nb 1.91
Ba: 0.3072 0.6928 0.7937  5 O 2.66-2.98
Ca: 0.4330 0.5670 0.3062  3 O 2.16-2.17
O: 0.2287 0.2303 0.2380  1 Nb 2.00, 1 Ca 2.16
Ba: 0.1258 0.8742 0.3873  3 O 2.67-2.86
Ba: 0.3780 0.6220 0.0485  7 O 2.78-3.07
O: 0.3015 0.1839 0.7650  1 Nb 1.91
Cl: 0.2369 0.7631 0.5905  4 Ba 3.18-3.52
O: 0.3554 0.1150 0.0843  1 Ir 2.10, 1 Nb 2.10
O: 0.7042 0.8403 0.9121  1 Ir 2.07, 1 Nb 2.22
O: 0.8846 0.6446 0.0843  1 Ir 2.10, 1 Nb 2.10
Ba: 0.6043 0.3956 0.6451  3 O 2.54-2.58
O: 0.8864 0.1140 0.0772  1 Ir 2.11, 1 Nb 2.11
Nb: 0.9856 0.0145 0.8153  3 O 1.90-1.91
O: 0.1601 0.2959 0.9121  1 Ir 2.07, 1 Nb 2.22
Ir: 0.0255 0.9745 0.9985  6 O 2.07-2.11
O: 0.7695 0.7717 0.2379  1 Nb 2.00, 1 Ca 2.16
Ba: 0.6752 0.3248 0.9205  12 O 2.99-3.25

Values from the calculation:
The value obtained for the relative energy among the computed polymorphs is 0.033 eV/atom. The value obtained for the uncorrected energy is -164.629 eV/cell.



Computed, not measured: a geometry-optimized MgSi structure at the PBE level of DFT.

a b c (Å): 4.4533 7.0975 14.9874
angles (deg): 96.99 96.09 89.96
Closest atoms and distances in Å follow each position.
Sites, in units of the cell vectors:
Mg: 0.3729 0.5672 0.0055  6 Si 2.74-2.98
Si: 0.1496 0.2322 0.6392  2 Si 2.36-2.39
Si: 0.2188 0.9497 0.5433  2 Si 2.36
Mg: 0.6854 0.9792 0.6771  6 Si 2.71-3.03
Si: 0.6639 0.7014 0.3110  1 Si 2.37
Si: 0.3453 0.5510 0.1860  1 Si 2.37
Mg: 0.6680 0.4847 0.6792  6 Si 2.71-2.89
Mg: 0.3743 0.0614 0.0055  6 Si 2.74-2.96
Mg: 0.6947 0.6842 0.4926  6 Si 2.73-2.98
Si: 0.7345 0.5358 0.8628  2 Si 2.35-2.37
Mg: 0.6984 0.1862 0.4927  6 Si 2.73-2.95
Si: 0.3477 0.1688 0.1863  1 Si 2.37
Si: 0.1482 0.7121 0.6366  2 Si 2.36-2.38
Si: 0.7334 0.0195 0.8605  2 Si 2.36-2.38
Mg: 0.1842 0.9046 0.3647  5 Si 2.65-2.72
Si: 0.2221 0.4429 0.5299  2 Si 2.38-2.39
Mg: 0.8278 0.3468 0.1361  5 Si 2.68-2.72
Mg: 0.8825 0.8517 0.1560  5 Si 2.77-3.02
Mg: 0.2364 0.2706 0.8225  6 Si 2.71-3.01
Si: 0.8665 0.8067 0.9690  2 Si 2.37-2.38
Mg: 0.2192 0.7648 0.8197  6 Si 2.71-2.89
Si: 0.6627 0.0788 0.3108  1 Si 2.37
Si: 0.8634 0.3009 0.9576  2 Si 2.35-2.36
Mg: 0.1302 0.3989 0.3430  5 Si 2.77-3.04

Values from the calculation:
The value obtained for the uncorrected energy is -83.810 eV/cell.



Computed, not measured: a geometry-optimized Si2SbC7Cl2 structure at the PBE level of DFT.

a b c (Å): 22.7012 6.1709 8.0772
angles (deg): 56.54 90.00 90.00
Closest atoms and distances in Å follow each position.
Sites, in units of the cell vectors:
C: 0.6799 0.6473 0.7522  2 C 1.40-1.41
C: 0.4468 0.4196 0.5914  2 C 1.40-1.43
Cl: 0.3177 0.6238 0.7171  1 Si 2.10
C: 0.1327 0.0098 0.4644  2 Si 1.80-1.83
C: 0.1799 0.3527 0.7478  2 C 1.40-1.41
Cl: 0.9372 0.5951 0.4900  1 Si 2.09
Si: 0.1927 0.2233 0.4272  3 C 1.80-1.90
C: 0.3673 0.0098 0.9644  2 Si 1.80-1.83
C: 0.7059 0.7531 0.8511  2 C 1.39-1.41
C: 0.2655 0.2289 0.3083  2 C 1.39-1.40
C: 0.9468 0.5804 0.9086  2 C 1.40-1.43
C: 0.2059 0.2469 0.6489  2 C 1.39-1.41
C: 0.6327 0.9902 0.0356  2 Si 1.80-1.83
C: 0.5548 0.4018 0.6148  2 C 1.40
Cl: 0.5628 0.5951 0.9900  1 Si 2.09
C: 0.9452 0.4018 0.1148  2 C 1.40
C: 0.7345 0.7711 0.6917  2 C 1.39-1.40
Si: 0.5687 0.7774 0.1432  3 C 1.82-1.86
C: 0.5005 0.6855 0.2942  2 C 1.40-1.43
C: 0.8673 0.9902 0.5356  2 Si 1.80-1.83
C: 0.0005 0.3145 0.2058  2 C 1.40-1.43
C: 0.0532 0.4196 0.0914  2 C 1.40-1.43
Cl: 0.1822 0.6238 0.2171  1 Si 2.10
C: 0.5532 0.5804 0.4086  2 C 1.40-1.43
Si: 0.8073 0.7767 0.5728  3 C 1.80-1.90
Cl: 0.8178 0.3762 0.7829  1 Si 2.10
C: 0.7655 0.7711 0.1917  2 C 1.39-1.40
Sb: 0.8553 0.3015 0.2369  3 C 2.11-2.34
Sb: 0.6447 0.3015 0.7369  3 C 2.11-2.34
C: 0.0548 0.5982 0.8852  2 C 1.40
Si: 0.4313 0.2226 0.8568  3 C 1.82-1.86
C: 0.7941 0.7531 0.3511  2 C 1.39-1.41
Sb: 0.3553 0.6985 0.2631  3 C 2.11-2.34
C: 0.8201 0.6473 0.2522  2 C 1.40-1.41
Si: 0.6927 0.7767 0.0728  3 C 1.80-1.90
Si: 0.3073 0.2233 0.9272  3 C 1.80-1.90
Sb: 0.1447 0.6985 0.7631  3 C 2.11-2.34
Si: 0.0687 0.2226 0.3568  3 C 1.82-1.86
Si: 0.9313 0.7774 0.6432  3 C 1.82-1.86
C: 0.4452 0.5982 0.3852  2 C 1.40
Cl: 0.6822 0.3762 0.2829  1 Si 2.10
C: 0.2345 0.2289 0.8083  2 C 1.39-1.40
Cl: 0.4372 0.4049 0.0100  1 Si 2.09
Cl: 0.0628 0.4049 0.5100  1 Si 2.09
C: 0.2941 0.2469 0.1489  2 C 1.39-1.41
C: 0.3201 0.3527 0.2478  2 C 1.40-1.41
C: 0.4995 0.3145 0.7058  2 C 1.40-1.43
C: 0.9995 0.6855 0.7942  2 C 1.40-1.43

Values from the calculation:
The value obtained for the uncorrected energy is -304.512 eV/cell.



Computed, not measured: a geometry-optimized PdS3 structure at the PBE level of DFT.

a b c (Å): 8.4049 8.4049 8.4049
angles (deg): 157.00 157.00 32.75
Closest atoms and distances in Å follow each position.
Sites, in units of the cell vectors:
Pd: 0.0000 0.0000 0.0000  4 S 2.37
S: 0.2500 0.7500 0.5000  4 S 2.37
S: 0.7500 0.2500 0.5000  4 S 2.37
S: 0.5000 0.5000 0.0000  4 Pd 2.37

Values from the calculation:
The value obtained for the uncorrected energy is -16.220 eV/cell.



no.,ρ (g cm⁻³)
1,3.1
2,7.1
3,5.0
4,2.2
5,2.3
6,3.7